1:
Computed, not measured: a geometry-optimized Li3Mn4P8O28 structure at the PBE+U level of DFT.

Results
* total magnetic moment: 30.00 Bohr magnetons per cell
* volume: 507.5 Å³/f.u.
* crystal system: triclinic

Unit cell a=9.653 b=9.611 c=11.169 alpha=90.10 beta=101.56 gamma=88.63
Sites, in units of the cell vectors:
O 0.202 0.822 0.811
O 0.319 0.800 0.595
O 0.024 0.237 0.091
O 0.908 0.076 0.887
O 0.387 0.835 0.151
O 0.897 0.664 0.168
O 0.985 0.561 0.387
O 0.079 0.908 0.113
O 0.605 0.161 0.830
O 0.971 0.770 0.883
O 0.190 0.295 0.413
O 0.525 0.261 0.111
O 0.470 0.754 0.909
O 0.215 0.058 0.530
O 0.035 0.846 0.578
O 0.794 0.937 0.460
O 0.640 0.428 0.295
O 0.535 0.658 0.578
O 0.366 0.049 0.780
O 0.418 0.400 0.887
O 0.139 0.071 0.301
O 0.714 0.433 0.522
O 0.317 0.314 0.688
O 0.102 0.587 0.785
O 0.177 0.808 0.309
O 0.671 0.685 0.308
O 0.103 0.335 0.843
O 0.924 0.924 0.274
O 0.975 0.167 0.436
O 0.686 0.667 0.823
O 0.901 0.410 0.211
O 0.576 0.413 0.728
O 0.817 0.711 0.586
O 0.480 0.909 0.375
O 0.011 0.421 0.622
O 0.586 0.582 0.109
O 0.288 0.167 0.002
O 0.080 0.072 0.732
O 0.810 0.172 0.188
O 0.136 0.545 0.223
O 0.418 0.578 0.266
O 0.294 0.562 0.477
O 0.297 0.323 0.188
O 0.208 0.666 0.997
O 0.723 0.834 0.999
O 0.840 0.201 0.695
O 0.602 0.908 0.786
O 0.361 0.571 0.705
O 0.398 0.086 0.215
O 0.695 0.205 0.407
O 0.468 0.340 0.420
O 0.772 0.331 0.004
O 0.512 0.066 0.612
O 0.852 0.939 0.691
O 0.624 0.943 0.207
O 0.865 0.459 0.786
P 0.075 0.926 0.248
P 0.473 0.936 0.243
P 0.383 0.216 0.123
P 0.426 0.421 0.753
P 0.873 0.856 0.571
P 0.377 0.651 0.582
P 0.887 0.278 0.119
P 0.131 0.150 0.427
P 0.927 0.071 0.757
P 0.626 0.348 0.417
P 0.020 0.445 0.757
P 0.116 0.719 0.875
P 0.570 0.573 0.240
P 0.520 0.053 0.745
P 0.609 0.785 0.884
P 0.981 0.551 0.252
Mn 0.773 0.274 0.840
Mn 0.305 0.430 0.327
Mn 0.279 0.229 0.841
Mn 0.721 0.772 0.161
Mn 0.196 0.929 0.672
Mn 0.223 0.728 0.160
Mn 0.805 0.068 0.329
Mn 0.698 0.574 0.679
Li 0.396 0.959 0.501
Li 0.153 0.440 0.531
Li 0.822 0.589 0.451
Li 0.581 0.405 0.022
Li 0.912 0.904 0.981
Li 0.879 0.284 0.545

---

2:
Computed, not measured: a geometry-optimized Li3Mn4P8O28 structure at the PBE+U level of DFT.

Results
* total magnetic moment: 30.00 Bohr magnetons per cell
* volume: 520.6 Å³/f.u.
* crystal system: triclinic

Unit cell a=9.666 b=9.711 c=11.315 alpha=89.97 beta=101.43 gamma=89.58
Sites, in units of the cell vectors:
Mn 0.808 0.070 0.333
Mn 0.203 0.933 0.674
Mn 0.213 0.724 0.166
Mn 0.719 0.771 0.164
Mn 0.306 0.434 0.341
Mn 0.754 0.286 0.826
Mn 0.701 0.578 0.676
Mn 0.276 0.223 0.833
P 0.881 0.859 0.572
P 0.565 0.568 0.245
P 0.615 0.786 0.884
P 0.877 0.287 0.117
P 0.136 0.159 0.421
P 0.932 0.073 0.759
P 0.628 0.346 0.419
P 0.114 0.709 0.887
P 0.467 0.934 0.239
P 0.375 0.655 0.582
P 0.021 0.443 0.759
P 0.386 0.205 0.111
P 0.524 0.051 0.747
P 0.424 0.423 0.754
P 0.068 0.930 0.247
P 0.969 0.556 0.244
Li 0.912 0.908 0.983
Li 0.400 0.963 0.500
Li 0.830 0.589 0.456
Li 0.893 0.283 0.547
Li 0.146 0.399 0.045
Li 0.414 0.591 0.977
O 0.072 0.913 0.114
O 0.475 0.337 0.431
O 0.041 0.857 0.573
O 0.415 0.574 0.274
O 0.231 0.076 0.518
O 0.313 0.326 0.163
O 0.169 0.813 0.309
O 0.290 0.584 0.473
O 0.983 0.170 0.438
O 0.630 0.422 0.291
O 0.535 0.653 0.577
O 0.887 0.661 0.154
O 0.973 0.751 0.911
O 0.576 0.416 0.735
O 0.331 0.803 0.606
O 0.183 0.304 0.392
O 0.193 0.821 0.834
O 0.130 0.076 0.294
O 0.602 0.160 0.835
O 0.722 0.434 0.518
O 0.473 0.750 0.908
O 0.841 0.197 0.697
O 0.917 0.070 0.889
O 0.975 0.579 0.374
O 0.369 0.042 0.776
O 0.917 0.922 0.274
O 0.470 0.909 0.368
O 0.398 0.086 0.210
O 0.121 0.543 0.210
O 0.376 0.834 0.150
O 0.778 0.333 0.999
O 0.022 0.412 0.630
O 0.532 0.240 0.090
O 0.617 0.939 0.205
O 0.360 0.568 0.701
O 0.796 0.938 0.464
O 0.862 0.938 0.694
O 0.864 0.456 0.785
O 0.817 0.169 0.182
O 0.085 0.081 0.734
O 0.105 0.347 0.857
O 0.698 0.207 0.408
O 0.023 0.264 0.089
O 0.327 0.306 0.692
O 0.404 0.415 0.885
O 0.825 0.715 0.586
O 0.692 0.673 0.825
O 0.091 0.591 0.785
O 0.889 0.412 0.212
O 0.672 0.677 0.310
O 0.567 0.587 0.112
O 0.527 0.067 0.617
O 0.719 0.838 0.000
O 0.602 0.909 0.790
O 0.209 0.639 0.002
O 0.293 0.150 0.993

---

The energy of each structure relative to the most stable one, in kJ/mol of atoms, is as follows: 1 0.6; 2 0.0.